(1)
H2WO5 after structural relaxation. Source: the Materials Project, functional PBE+U.

abc: 3.9538 7.5120 11.9723
angles: 70.82 90.00 90.00
Fractional positions:
1 H 0.2811 0.8355 0.5274
2 H 0.7811 0.1645 0.9726
3 H 0.7189 0.1645 0.4726
4 H 0.2189 0.8355 0.0274
5 H 0.5578 0.6838 0.1396
6 H 0.0578 0.3162 0.3604
7 H 0.4422 0.3162 0.8604
8 H 0.9422 0.6838 0.6396
9 W 0.4286 0.8107 0.3058
10 W 0.9286 0.1893 0.1942
11 W 0.5714 0.1893 0.6942
12 W 0.0714 0.8107 0.8058
13 O 0.4151 0.8438 0.4521
14 O 0.9151 0.1562 0.0479
15 O 0.5849 0.1562 0.5479
16 O 0.0849 0.8438 0.9521
17 O 0.9286 0.8941 0.2795
18 O 0.4286 0.1059 0.2205
19 O 0.0714 0.1059 0.7205
20 O 0.5714 0.8941 0.7795
21 O 0.4293 0.7956 0.1417
22 O 0.9293 0.2044 0.3583
23 O 0.5707 0.2044 0.8583
24 O 0.0707 0.7956 0.6417
25 O 0.2535 0.5504 0.3657
26 O 0.7535 0.4496 0.1343
27 O 0.7465 0.4496 0.6343
28 O 0.2465 0.5504 0.8657
29 O 0.6235 0.5597 0.3602
30 O 0.1235 0.4403 0.1398
31 O 0.3765 0.4403 0.6398
32 O 0.8765 0.5597 0.8602

Calculated values
The energy above the lowest structure with this stoichiometry is 37.7 meV per atom.



(2)
H2WO5 after structural relaxation. Source: the Materials Project, functional PBE+U.

abc: 3.9479 7.5602 12.5396
angles: 69.82 90.00 90.00
Fractional positions:
1 H 0.5686 0.6713 0.1445
2 H 0.3030 0.8274 0.0779
3 H 0.0686 0.3287 0.3555
4 H 0.8030 0.1726 0.4221
5 H 0.4314 0.3287 0.8555
6 H 0.6970 0.1726 0.9221
7 H 0.1970 0.8274 0.5779
8 H 0.9314 0.6713 0.6445
9 W 0.4265 0.8155 0.3185
10 W 0.9265 0.1845 0.1815
11 W 0.5735 0.1845 0.6815
12 W 0.0735 0.8155 0.8185
13 O 0.4244 0.8430 0.4514
14 O 0.9244 0.1570 0.0486
15 O 0.5756 0.1570 0.5486
16 O 0.0756 0.8430 0.9514
17 O 0.9289 0.8975 0.2804
18 O 0.4289 0.1025 0.2196
19 O 0.0711 0.1025 0.7196
20 O 0.5711 0.8975 0.7804
21 O 0.4670 0.7921 0.1420
22 O 0.9670 0.2079 0.3580
23 O 0.5330 0.2079 0.8580
24 O 0.0330 0.7921 0.6420
25 O 0.2471 0.5570 0.3616
26 O 0.7471 0.4430 0.1384
27 O 0.7529 0.4430 0.6384
28 O 0.2529 0.5570 0.8616
29 O 0.6193 0.5635 0.3575
30 O 0.1193 0.4365 0.1425
31 O 0.3807 0.4365 0.6425
32 O 0.8807 0.5635 0.8575

Calculated values
The energy above the lowest structure with this stoichiometry is 0.0 meV per atom.



(3)
H2W2O7 after structural relaxation. Source: the Materials Project, functional PBE+U.

abc: 7.4026 7.4026 7.4026
angles: 120.57 119.66 89.80
Fractional positions:
1 H 0.5602 0.4078 0.6524
2 H 0.0181 0.8195 0.6986
3 H 0.2446 0.5922 0.1524
4 H 0.8791 0.1805 0.1986
5 W 0.5465 0.0000 0.5465
6 W 0.4693 0.9852 0.9841
7 W 0.9989 0.0148 0.4841
8 W 0.5465 0.5000 0.0465
9 O 0.1632 0.2986 0.7378
10 O 0.5785 0.8208 0.6482
11 O 0.5785 0.4303 0.2577
12 O 0.1632 0.9254 0.3646
13 O 0.4759 0.3148 0.6611
14 O 0.1329 0.9119 0.7210
15 O 0.8274 0.5697 0.1482
16 O 0.4392 0.0746 0.2378
17 O 0.4392 0.7014 0.8646
18 O 0.8274 0.1792 0.7577
19 O 0.3463 0.6852 0.1611
20 O 0.8091 0.0881 0.2210
21 O 0.4995 0.1472 0.8523
22 O 0.7050 0.8528 0.3523

Calculated values
The energy above the lowest structure with this stoichiometry is 264.6 meV per atom.



(4)
H2W2O7 after structural relaxation. Source: the Materials Project, functional PBE+U.

abc: 7.0633 7.0633 7.0633
angles: 118.12 118.12 93.28
Fractional positions:
1 H 0.3341 0.3341 0.0000
2 H 0.6659 0.6659 0.0000
3 H 0.4159 0.9159 0.5000
4 H 0.0841 0.5841 0.5000
5 W 0.8750 0.1250 0.2500
6 W 0.8750 0.6250 0.7500
7 W 0.8750 0.1250 0.7500
8 W 0.3750 0.1250 0.2500
9 O 0.2333 0.2333 0.0000
10 O 0.7667 0.7667 0.0000
11 O 0.2180 0.7820 0.0000
12 O 0.7820 0.2180 0.0000
13 O 0.2180 0.2180 0.4361
14 O 0.7820 0.7820 0.5639
15 O 0.5167 0.0167 0.5000
16 O 0.9833 0.4833 0.5000
17 O 0.5320 0.4680 0.5000
18 O 0.9680 0.0320 0.5000
19 O 0.5320 0.0320 0.0639
20 O 0.9680 0.4680 0.9361
21 O 0.0000 0.0000 0.0000
22 O 0.7500 0.2500 0.5000

Calculated values
The energy above the lowest structure with this stoichiometry is 390.3 meV per atom.



(5)
H2W2O7 after structural relaxation. Source: the Materials Project, functional PBE+U.

abc: 7.1327 7.1327 7.1327
angles: 119.45 115.86 94.13
Fractional positions:
1 H 0.9845 0.5717 0.9129
2 H 0.4463 0.1927 0.7535
3 H 0.3412 0.4283 0.4129
4 H 0.5608 0.8073 0.2535
5 W 0.9918 0.5000 0.4918
6 W 0.0092 0.9851 0.5240
7 W 0.5389 0.0149 0.0240
8 W 0.9918 0.0000 0.9918
9 O 0.2965 0.0404 0.0864
10 O 0.0024 0.6682 0.3300
11 O 0.0024 0.1723 0.8342
12 O 0.2965 0.7101 0.7561
13 O 0.9710 0.6455 0.8255
14 O 0.3574 0.0925 0.7649
15 O 0.6619 0.8277 0.8300
16 O 0.0461 0.2899 0.5864
17 O 0.0461 0.9596 0.2561
18 O 0.6619 0.3318 0.3342
19 O 0.1799 0.3545 0.3255
20 O 0.6724 0.9075 0.2649
21 O 0.8803 0.7841 0.5962
22 O 0.8121 0.2159 0.0962

Calculated values
The energy above the lowest structure with this stoichiometry is 215.2 meV per atom.



(6)
H2W2O7 after structural relaxation. Source: the Materials Project, functional PBE+U.

abc: 7.3532 7.3532 7.3532
angles: 119.63 119.63 90.64
Fractional positions:
1 H 0.3418 0.8418 0.5000
2 H 0.1582 0.6582 0.5000
3 H 0.4082 0.4082 0.0000
4 H 0.5918 0.5918 0.0000
5 W 0.8750 0.1250 0.2500
6 W 0.8750 0.6250 0.7500
7 W 0.8750 0.1250 0.7500
8 W 0.3750 0.1250 0.2500
9 O 0.1862 0.1862 0.0000
10 O 0.8138 0.8138 0.0000
11 O 0.1811 0.8189 0.0000
12 O 0.8189 0.1811 0.0000
13 O 0.1811 0.1811 0.3622
14 O 0.8189 0.8189 0.6378
15 O 0.5638 0.0638 0.5000
16 O 0.9362 0.4362 0.5000
17 O 0.5689 0.4311 0.5000
18 O 0.9311 0.0689 0.5000
19 O 0.5689 0.0689 0.1378
20 O 0.9311 0.4311 0.8622
21 O 0.2500 0.7500 0.5000
22 O 0.5000 0.5000 0.0000

Calculated values
The energy above the lowest structure with this stoichiometry is 118.0 meV per atom.



(7)
HW4O12 after structural relaxation. Source: the Materials Project, functional PBE+U.

abc: 6.7064 6.7064 6.7064
angles: 109.85 109.85 108.72
Fractional positions:
1 H 0.0000 0.0000 0.0000
2 W 0.4806 0.9789 0.0000
3 W 0.9789 0.4806 0.0000
4 W 0.0211 0.0211 0.5017
5 W 0.5194 0.5194 0.4983
6 O 0.7455 0.2467 0.0000
7 O 0.2467 0.7455 0.0000
8 O 0.7533 0.7533 0.4989
9 O 0.2545 0.2545 0.5011
10 O 0.2501 0.9999 0.7496
11 O 0.7499 0.4995 0.7498
12 O 0.2503 0.5005 0.2504
13 O 0.7497 0.0001 0.2502
14 O 0.9999 0.2501 0.7496
15 O 0.4995 0.7499 0.7498
16 O 0.5005 0.2503 0.2504
17 O 0.0001 0.7497 0.2502



(8)
KHfInWO6 after structural relaxation. Source: the Materials Project, functional PBE+U.

abc: 5.7539 5.7539 5.7539
angles: 60.00 60.00 60.00
Fractional positions:
1 K 0.7500 0.7500 0.7500
2 Hf 0.0000 0.0000 0.0000
3 In 0.2500 0.2500 0.2500
4 W 0.5000 0.5000 0.5000
5 O 0.7414 0.2586 0.2586
6 O 0.2586 0.7414 0.7414
7 O 0.7414 0.2586 0.7414
8 O 0.2586 0.7414 0.2586
9 O 0.7414 0.7414 0.2586
10 O 0.2586 0.2586 0.7414



(9)
K8HfMo6O24 after structural relaxation. Source: the Materials Project, functional PBE+U.

abc: 12.0581 10.4303 13.3572
angles: 60.92 90.00 90.00
Fractional positions:
1 K 0.5704 0.6409 0.1081
2 K 0.0704 0.3591 0.3919
3 K 0.2026 0.1899 0.7067
4 K 0.4440 0.8324 0.2814
5 K 0.7209 0.3973 0.4229
6 K 0.4296 0.3591 0.8919
7 K 0.7974 0.8101 0.2933
8 K 0.7026 0.8101 0.7933
9 K 0.2791 0.6027 0.5771
10 K 0.2974 0.1899 0.2067
11 K 0.2209 0.6027 0.0771
12 K 0.5560 0.1676 0.7186
13 K 0.9440 0.1676 0.2186
14 K 0.0560 0.8324 0.7814
15 K 0.9296 0.6409 0.6081
16 K 0.7791 0.3973 0.9229
17 Hf 0.0000 0.0000 0.0000
18 Hf 0.5000 0.0000 0.5000
19 Mo 0.6069 0.6152 0.5982
20 Mo 0.8954 0.2334 0.7064
21 Mo 0.3196 0.9851 0.9938
22 Mo 0.1046 0.7666 0.2936
23 Mo 0.6804 0.0149 0.0062
24 Mo 0.3931 0.3848 0.4018
25 Mo 0.3954 0.7666 0.7936
26 Mo 0.1804 0.9851 0.4938
27 Mo 0.8931 0.6152 0.0982
28 Mo 0.1069 0.3848 0.9018
29 Mo 0.8196 0.0149 0.5062
30 Mo 0.6046 0.2334 0.2064
31 O 0.7042 0.6043 0.5020
32 O 0.9845 0.4619 0.1512
33 O 0.6540 0.9300 0.9213
34 O 0.5155 0.4619 0.6512
35 O 0.2042 0.3957 0.9980
36 O 0.8197 0.6145 0.2141
37 O 0.4750 0.9212 0.6750
38 O 0.1803 0.3855 0.7859
39 O 0.0247 0.2115 0.9786
40 O 0.2245 0.8247 0.3397
41 O 0.8536 0.3589 0.7524
42 O 0.3197 0.3855 0.2859
43 O 0.5250 0.0788 0.3250
44 O 0.3815 0.0985 0.8572
45 O 0.6464 0.3589 0.2524
46 O 0.0155 0.5381 0.8488
47 O 0.4881 0.6723 0.9092
48 O 0.9750 0.0788 0.8250
49 O 0.9881 0.3277 0.5908
50 O 0.5247 0.7885 0.5214
51 O 0.0119 0.6723 0.4092
52 O 0.5119 0.3277 0.0908
53 O 0.8774 0.1937 0.4315
54 O 0.7958 0.6043 0.0020
55 O 0.7755 0.1753 0.6603
56 O 0.0250 0.9212 0.1750
57 O 0.1667 0.9791 0.9747
58 O 0.7245 0.1753 0.1603
59 O 0.1540 0.0700 0.5787
60 O 0.8815 0.9015 0.6428
61 O 0.3774 0.8063 0.0685
62 O 0.2755 0.8247 0.8397
63 O 0.6185 0.9015 0.1428
64 O 0.1226 0.8063 0.5685
65 O 0.2958 0.3957 0.4980
66 O 0.8333 0.0209 0.0253
67 O 0.6803 0.6145 0.7141
68 O 0.4845 0.5381 0.3488
69 O 0.6667 0.0209 0.5253
70 O 0.4753 0.2115 0.4786
71 O 0.1185 0.0985 0.3572
72 O 0.3333 0.9791 0.4747
73 O 0.8460 0.9300 0.4213
74 O 0.3460 0.0700 0.0787
75 O 0.6226 0.1937 0.9315
76 O 0.9753 0.7885 0.0214
77 O 0.3536 0.6411 0.7476
78 O 0.1464 0.6411 0.2476



(10)
K10Hf3Mo12PbO48 after structural relaxation. Source: the Materials Project, functional PBE+U.

abc: 14.3807 14.3807 14.3807
angles: 44.41 44.41 44.41
Fractional positions:
1 K 0.8506 0.8506 0.8506
2 K 0.1494 0.1494 0.1494
3 K 0.6283 0.6283 0.6283
4 K 0.3717 0.3717 0.3717
5 K 0.7638 0.1352 0.3592
6 K 0.1352 0.3592 0.7638
7 K 0.3592 0.7638 0.1352
8 K 0.2362 0.8648 0.6408
9 K 0.8648 0.6408 0.2362
10 K 0.6408 0.2362 0.8648
11 Hf 0.0000 0.0000 0.0000
12 Hf 0.7506 0.7506 0.7506
13 Hf 0.2494 0.2494 0.2494
14 Mo 0.7701 0.5105 0.1132
15 Mo 0.5105 0.1132 0.7701
16 Mo 0.1132 0.7701 0.5105
17 Mo 0.2299 0.4895 0.8868
18 Mo 0.4895 0.8868 0.2299
19 Mo 0.8868 0.2299 0.4895
20 Mo 0.9532 0.7521 0.3864
21 Mo 0.7521 0.3864 0.9532
22 Mo 0.3864 0.9532 0.7521
23 Mo 0.0468 0.2479 0.6136
24 Mo 0.2479 0.6136 0.0468
25 Mo 0.6136 0.0468 0.2479
26 Pb 0.5000 0.5000 0.5000
27 O 0.1367 0.8365 0.5554
28 O 0.8365 0.5554 0.1367
29 O 0.5554 0.1367 0.8365
30 O 0.8633 0.1635 0.4446
31 O 0.1635 0.4446 0.8633
32 O 0.4446 0.8633 0.1635
33 O 0.9037 0.3472 0.0851
34 O 0.3472 0.0851 0.9037
35 O 0.0851 0.9037 0.3472
36 O 0.0963 0.6528 0.9149
37 O 0.6528 0.9149 0.0963
38 O 0.9149 0.0963 0.6528
39 O 0.6135 0.4776 0.2779
40 O 0.4776 0.2779 0.6135
41 O 0.2779 0.6135 0.4776
42 O 0.3865 0.5224 0.7221
43 O 0.5224 0.7221 0.3865
44 O 0.7221 0.3865 0.5224
45 O 0.7143 0.6711 0.9575
46 O 0.6711 0.9575 0.7143
47 O 0.9575 0.7143 0.6711
48 O 0.2857 0.3289 0.0425
49 O 0.3289 0.0425 0.2857
50 O 0.0425 0.2857 0.3289
51 O 0.9020 0.6675 0.3926
52 O 0.6675 0.3926 0.9020
53 O 0.3926 0.9020 0.6675
54 O 0.0980 0.3325 0.6074
55 O 0.3325 0.6074 0.0980
56 O 0.6074 0.0980 0.3325
57 O 0.1186 0.6274 0.4054
58 O 0.6274 0.4054 0.1186
59 O 0.4054 0.1186 0.6274
60 O 0.8814 0.3726 0.5946
61 O 0.3726 0.5946 0.8814
62 O 0.5946 0.8814 0.3726
63 O 0.9776 0.9101 0.2064
64 O 0.9101 0.2064 0.9776
65 O 0.2064 0.9776 0.9101
66 O 0.0224 0.0899 0.7936
67 O 0.0899 0.7936 0.0224
68 O 0.7936 0.0224 0.0899
69 O 0.8082 0.8116 0.5371
70 O 0.8116 0.5371 0.8082
71 O 0.5371 0.8082 0.8116
72 O 0.1918 0.1884 0.4629
73 O 0.1884 0.4629 0.1918
74 O 0.4629 0.1918 0.1884

Calculated values
The energy above the lowest structure with this stoichiometry is 0.0 meV per atom.



(11)
KPrHfWO6 after structural relaxation. Source: the Materials Project, functional PBE+U.

abc: 5.7928 5.7928 5.7928
angles: 60.00 60.00 60.00
Fractional positions:
1 K 0.2500 0.2500 0.2500
2 Pr 0.7500 0.7500 0.7500
3 Hf 0.0000 0.0000 0.0000
4 W 0.5000 0.5000 0.5000
5 O 0.7490 0.2510 0.2510
6 O 0.2510 0.7490 0.7490
7 O 0.7490 0.2510 0.7490
8 O 0.2510 0.7490 0.2510
9 O 0.7490 0.7490 0.2510
10 O 0.2510 0.2510 0.7490



(12)
La2HfNiO6 after structural relaxation. Source: the Materials Project, functional PBE+U.

abc: 5.6981 5.6981 5.6981
angles: 60.00 60.00 60.00
Fractional positions:
1 La 0.2500 0.2500 0.2500
2 La 0.7500 0.7500 0.7500
3 Hf 0.5000 0.5000 0.5000
4 Ni 0.0000 0.0000 0.0000
5 O 0.7520 0.7520 0.2480
6 O 0.2480 0.2480 0.7520
7 O 0.7520 0.2480 0.2480
8 O 0.2480 0.7520 0.7520
9 O 0.7520 0.2480 0.7520
10 O 0.2480 0.7520 0.2480



| no. | energy with MP2020 corrections (eV/atom) | energy of formation from the pure elements (eV per atom) |
| --- | --- | --- |
| 1 | -7.015 | -1.4548 |
| 2 | -7.053 | -1.4925 |
| 3 | -7.745 | -1.6239 |
| 4 | -7.620 | -1.4982 |
| 5 | -7.795 | -1.6733 |
| 6 | -7.892 | -1.7705 |
| 7 | -8.653 | -1.9114 |
| 8 | -8.182 | -2.5353 |
| 9 | -7.524 | -2.3275 |
| 10 | -7.916 | -2.3440 |
| 11 | -8.758 | -2.9084 |
| 12 | -8.778 | -3.2478 |